[1]
Compound: NaMg2Ge2PS5O24
Source: the Materials Project database
Functional: PBE
Structure: optimized geometry

Summary:
* total magnetic moment: 0.0 μB/f.u.
* density: 2.9 g cm⁻³
* VASP energy: -6.1899 eV/atom

Lattice parameters (Å, degrees): 8.486 8.491 22.092 89.60 89.79 60.20
Sites, in units of the cell vectors:
Na1 0.000 0.000 0.000
Na2 0.012 0.999 0.497
Na3 0.341 0.336 0.832
Mg1 0.003 0.999 0.858
Mg2 0.007 0.001 0.154
Mg3 0.008 0.998 0.351
Mg4 0.341 0.333 0.192
Mg5 0.342 0.329 0.687
Mg6 0.671 0.669 0.524
Ge1 0.014 0.999 0.646
Ge2 0.337 0.325 0.482
Ge3 0.339 0.343 0.982
Ge4 0.674 0.665 0.314
Ge5 0.682 0.655 0.815
Ge6 0.682 0.660 0.021
P1 0.338 0.044 0.586
P2 0.670 0.383 0.919
P3 0.963 0.660 0.919
S1 0.001 0.706 0.253
S2 0.002 0.292 0.753
S3 0.050 0.335 0.082
S4 0.054 0.625 0.585
S5 0.303 0.712 0.753
S6 0.308 0.991 0.253
S7 0.345 0.625 0.082
S8 0.385 0.656 0.420
S9 0.392 0.954 0.919
S10 0.628 0.039 0.081
S11 0.634 0.326 0.585
S12 0.669 0.960 0.419
S13 0.715 0.299 0.253
S14 0.721 0.991 0.752
S15 0.967 0.378 0.419
O1 0.024 0.178 0.085
O2 0.028 0.787 0.307
O3 0.029 0.181 0.806
O4 0.035 0.814 0.590
O5 0.135 0.364 0.134
O6 0.137 0.523 0.640
O7 0.150 0.371 0.424
O8 0.151 0.479 0.926
O9 0.153 0.525 0.244
O10 0.154 0.033 0.591
O11 0.156 0.322 0.746
O12 0.165 0.301 0.024
O13 0.175 0.552 0.530
O14 0.188 0.807 0.086
O15 0.192 0.795 0.806
O16 0.199 0.018 0.307
O17 0.203 0.813 0.412
O18 0.213 0.974 0.913
O19 0.224 0.825 0.696
O20 0.232 0.954 0.199
O21 0.287 0.174 0.527
O22 0.308 0.548 0.024
O23 0.330 0.529 0.746
O24 0.337 0.144 0.244
O25 0.358 0.132 0.642
O26 0.373 0.484 0.426
O27 0.377 0.508 0.133
O28 0.380 0.136 0.924
O29 0.469 0.684 0.472
O30 0.472 0.842 0.974
O31 0.486 0.703 0.758
O32 0.492 0.369 0.925
O33 0.492 0.820 0.261
O34 0.494 0.860 0.575
O35 0.498 0.144 0.424
O36 0.500 0.621 0.363
O37 0.508 0.876 0.863
O38 0.515 0.122 0.133
O39 0.515 0.637 0.073
O40 0.528 0.353 0.639
O41 0.534 0.327 0.244
O42 0.539 0.149 0.746
O43 0.548 0.156 0.023
O44 0.557 0.284 0.529
O45 0.625 0.507 0.862
O46 0.632 0.882 0.363
O47 0.635 0.859 0.072
O48 0.664 0.476 0.575
O49 0.697 0.472 0.976
O50 0.698 0.849 0.472
O51 0.702 0.484 0.261
O52 0.707 0.821 0.758
O53 0.797 0.190 0.307
O54 0.805 0.017 0.806
O55 0.811 0.013 0.084
O56 0.818 0.150 0.591
O57 0.825 0.987 0.411
O58 0.828 0.225 0.198
O59 0.828 0.474 0.757
O60 0.828 0.694 0.261
O61 0.835 0.957 0.696
O62 0.836 0.199 0.914
O63 0.841 0.696 0.976
O64 0.858 0.461 0.473
O65 0.869 0.507 0.075
O66 0.878 0.644 0.576
O67 0.881 0.620 0.862
O68 0.887 0.493 0.363
O69 0.963 0.820 0.198
O70 0.967 0.213 0.696
O71 0.990 0.821 0.914
O72 0.995 0.195 0.412



[2]
Compound: Na6Mg3GeP4S2O24
Source: the Materials Project database
Functional: PBE
Structure: optimized geometry

Summary:
* total magnetic moment: 0.0 μB/f.u.
* density: 2.9 g cm⁻³
* VASP energy: -6.2806 eV/atom

Lattice parameters (Å, degrees): 8.842 8.847 21.924 89.51 89.90 60.08
Sites, in units of the cell vectors:
Na1 0.000 0.000 0.000
Na2 0.000 0.374 0.250
Na3 0.006 0.375 0.750
Na4 0.025 0.032 0.665
Na5 0.301 0.030 0.171
Na6 0.328 0.697 0.586
Na7 0.339 0.686 0.088
Na8 0.341 0.058 0.831
Na9 0.369 0.987 0.502
Na10 0.373 0.360 0.998
Na11 0.623 0.732 0.001
Na12 0.635 0.365 0.499
Na13 0.660 0.035 0.413
Na14 0.669 0.673 0.668
Na15 0.670 0.036 0.911
Na16 0.686 0.703 0.332
Na17 0.971 0.050 0.332
Na18 0.994 0.739 0.500
Mg1 0.005 0.363 0.605
Mg2 0.331 0.689 0.239
Mg3 0.332 0.698 0.431
Mg4 0.334 0.695 0.933
Mg5 0.661 0.037 0.271
Mg6 0.661 0.038 0.068
Mg7 0.668 0.025 0.771
Mg8 0.673 0.017 0.570
Mg9 0.992 0.365 0.103
Ge1 0.322 0.701 0.740
Ge2 0.993 0.365 0.397
Ge3 0.995 0.356 0.895
P1 0.036 0.992 0.838
P2 0.038 0.689 0.338
P3 0.286 0.074 0.001
P4 0.326 0.408 0.838
P5 0.327 0.001 0.336
P6 0.368 0.027 0.671
P7 0.628 0.401 0.338
P8 0.629 0.689 0.836
P9 0.708 0.652 0.502
P10 0.711 0.365 0.000
P11 0.969 0.732 0.670
P12 0.998 0.074 0.502
S1 0.288 0.363 0.501
S2 0.369 0.328 0.167
S3 0.657 0.328 0.669
S4 0.666 0.734 0.168
S5 0.962 0.028 0.168
S6 0.998 0.651 0.001
O1 0.014 0.522 0.344
O2 0.028 0.157 0.558
O3 0.028 0.542 0.055
O4 0.031 0.175 0.839
O5 0.113 0.722 0.396
O6 0.119 0.887 0.895
O7 0.140 0.872 0.172
O8 0.150 0.659 0.282
O9 0.153 0.186 0.344
O10 0.154 0.673 0.995
O11 0.155 0.387 0.841
O12 0.156 0.719 0.679
O13 0.159 0.890 0.495
O14 0.161 0.909 0.780
O15 0.176 0.159 0.057
O16 0.179 0.392 0.555
O17 0.180 0.178 0.665
O18 0.194 0.342 0.162
O19 0.200 0.197 0.942
O20 0.209 0.330 0.445
O21 0.285 0.926 0.279
O22 0.293 0.530 0.780
O23 0.305 0.892 0.995
O24 0.308 0.519 0.494
O25 0.348 0.486 0.896
O26 0.351 0.503 0.173
O27 0.356 0.848 0.678
O28 0.357 0.888 0.393
O29 0.455 0.049 0.727
O30 0.457 0.212 0.219
O31 0.464 0.206 0.506
O32 0.468 0.251 0.109
O33 0.471 0.054 0.004
O34 0.480 0.989 0.613
O35 0.481 0.224 0.828
O36 0.489 0.019 0.328
O37 0.499 0.509 0.674
O38 0.503 0.722 0.172
O39 0.518 0.719 0.893
O40 0.525 0.524 0.994
O41 0.526 0.670 0.495
O42 0.528 0.476 0.397
O43 0.540 0.658 0.777
O44 0.549 0.523 0.283
O45 0.633 0.254 0.611
O46 0.641 0.843 0.112
O47 0.646 0.851 0.828
O48 0.665 0.213 0.329
O49 0.684 0.216 0.721
O50 0.684 0.820 0.223
O51 0.689 0.836 0.504
O52 0.697 0.197 0.004
O53 0.793 0.401 0.054
O54 0.794 0.540 0.558
O55 0.814 0.350 0.664
O56 0.815 0.519 0.840
O57 0.819 0.385 0.342
O58 0.822 0.560 0.163
O59 0.829 0.062 0.504
O60 0.829 0.565 0.443
O61 0.834 0.327 0.942
O62 0.841 0.828 0.006
O63 0.846 0.825 0.723
O64 0.851 0.849 0.330
O65 0.854 0.019 0.828
O66 0.857 0.046 0.222
O67 0.879 0.009 0.112
O68 0.904 0.842 0.610
O69 0.963 0.574 0.945
O70 0.968 0.194 0.443
O71 0.983 0.185 0.164
O72 0.985 0.551 0.663



[3]
Compound: Na4Mg3GeP2S4O24
Source: the Materials Project database
Functional: PBE
Structure: optimized geometry

Summary:
* total magnetic moment: 0.0 μB/f.u.
* density: 2.8 g cm⁻³
* VASP energy: -6.1737 eV/atom

Lattice parameters (Å, degrees): 8.710 8.730 22.162 89.47 89.44 60.16
Sites, in units of the cell vectors:
Na1 0.000 0.000 0.000
Na2 0.003 0.984 0.511
Na3 0.040 0.298 0.424
Na4 0.311 0.650 0.426
Na5 0.334 0.312 0.840
Na6 0.339 0.686 0.087
Na7 0.350 0.314 0.340
Na8 0.372 0.629 0.747
Na9 0.631 0.990 0.755
Na10 0.672 0.653 0.666
Na11 0.683 0.646 0.175
Na12 0.703 0.958 0.083
Mg1 0.005 0.997 0.155
Mg2 0.018 0.985 0.648
Mg3 0.332 0.323 0.683
Mg4 0.337 0.323 0.192
Mg5 0.342 0.317 0.982
Mg6 0.345 0.322 0.488
Mg7 0.672 0.659 0.320
Mg8 0.672 0.661 0.822
Mg9 0.682 0.656 0.015
Ge1 0.005 0.995 0.856
Ge2 0.665 0.656 0.519
Ge3 0.999 0.991 0.360
P1 0.291 0.993 0.755
P2 0.344 0.619 0.585
P3 0.383 0.948 0.418
P4 0.673 0.364 0.418
P5 0.678 0.956 0.918
P6 0.955 0.661 0.420
S1 0.005 0.281 0.255
S2 0.006 0.700 0.755
S3 0.037 0.330 0.585
S4 0.047 0.612 0.088
S5 0.297 0.699 0.254
S6 0.337 0.032 0.088
S7 0.372 0.660 0.920
S8 0.632 0.325 0.087
S9 0.635 0.023 0.587
S10 0.716 0.989 0.254
S11 0.720 0.280 0.754
S12 0.966 0.359 0.919
O1 0.010 0.177 0.592
O2 0.026 0.795 0.093
O3 0.034 0.168 0.313
O4 0.042 0.781 0.810
O5 0.117 0.358 0.639
O6 0.128 0.508 0.143
O7 0.143 0.304 0.530
O8 0.143 0.503 0.428
O9 0.144 0.338 0.925
O10 0.158 0.533 0.034
O11 0.167 0.295 0.251
O12 0.168 0.526 0.750
O13 0.173 0.024 0.815
O14 0.181 0.005 0.094
O15 0.182 0.784 0.311
O16 0.183 0.804 0.590
O17 0.188 0.963 0.413
O18 0.192 0.828 0.915
O19 0.206 0.957 0.703
O20 0.213 0.805 0.199
O21 0.311 0.524 0.251
O22 0.312 0.138 0.033
O23 0.317 0.155 0.751
O24 0.323 0.532 0.529
O25 0.346 0.136 0.428
O26 0.346 0.507 0.927
O27 0.369 0.110 0.141
O28 0.377 0.511 0.644
O29 0.451 0.688 0.975
O30 0.459 0.823 0.475
O31 0.472 0.685 0.259
O32 0.478 0.824 0.763
O33 0.480 0.635 0.866
O34 0.490 0.867 0.362
O35 0.498 0.850 0.082
O36 0.514 0.340 0.428
O37 0.518 0.142 0.924
O38 0.521 0.356 0.142
O39 0.523 0.633 0.578
O40 0.531 0.095 0.643
O41 0.539 0.299 0.751
O42 0.540 0.150 0.251
O43 0.549 0.131 0.534
O44 0.551 0.294 0.034
O45 0.642 0.479 0.363
O46 0.649 0.486 0.080
O47 0.652 0.840 0.580
O48 0.656 0.869 0.862
O49 0.698 0.457 0.762
O50 0.701 0.830 0.260
O51 0.714 0.847 0.977
O52 0.722 0.442 0.475
O53 0.797 0.163 0.810
O54 0.803 0.020 0.309
O55 0.810 0.164 0.094
O56 0.813 0.003 0.593
O57 0.821 0.967 0.199
O58 0.826 0.196 0.701
O59 0.837 0.697 0.478
O60 0.846 0.456 0.261
O61 0.848 0.680 0.763
O62 0.851 0.175 0.413
O63 0.857 0.499 0.579
O64 0.857 0.970 0.911
O65 0.859 0.432 0.974
O66 0.865 0.638 0.083
O67 0.879 0.626 0.364
O68 0.884 0.463 0.865
O69 0.971 0.815 0.702
O70 0.981 0.831 0.413
O71 0.982 0.195 0.202
O72 0.984 0.175 0.914



[4]
Compound: NaMgGePS2O12
Source: the Materials Project database
Functional: PBE
Structure: optimized geometry

Summary:
* total magnetic moment: 0.0 μB/f.u.
* density: 2.9 g cm⁻³
* VASP energy: -6.2584 eV/atom

Lattice parameters (Å, degrees): 8.513 8.513 22.125 90.65 90.65 59.75
Sites, in units of the cell vectors:
Na1 0.001 0.999 0.500
Na2 0.328 0.341 0.333
Na3 0.341 0.328 0.833
Na4 0.668 0.684 0.667
Na5 0.684 0.668 0.167
Na6 0.999 0.001 0.000
Mg1 0.004 0.007 0.856
Mg2 0.007 0.004 0.356
Mg3 0.332 0.341 0.190
Mg4 0.341 0.332 0.690
Mg5 0.676 0.678 0.523
Mg6 0.678 0.676 0.023
Ge1 0.004 0.005 0.652
Ge2 0.005 0.004 0.152
Ge3 0.337 0.341 0.985
Ge4 0.341 0.337 0.485
Ge5 0.656 0.694 0.819
Ge6 0.694 0.656 0.319
P1 0.005 0.292 0.254
P2 0.051 0.632 0.088
P3 0.292 0.005 0.754
P4 0.632 0.051 0.588
P5 0.668 0.970 0.922
P6 0.970 0.668 0.422
S1 0.001 0.716 0.754
S2 0.050 0.334 0.587
S3 0.302 0.716 0.254
S4 0.334 0.050 0.087
S5 0.336 0.631 0.587
S6 0.384 0.668 0.921
S7 0.387 0.961 0.420
S8 0.631 0.336 0.087
S9 0.668 0.384 0.421
S10 0.716 0.001 0.254
S11 0.716 0.302 0.754
S12 0.961 0.387 0.920
O1 0.025 0.183 0.309
O2 0.026 0.799 0.807
O3 0.035 0.828 0.094
O4 0.039 0.163 0.591
O5 0.130 0.366 0.640
O6 0.142 0.520 0.142
O7 0.146 0.373 0.924
O8 0.162 0.537 0.745
O9 0.163 0.039 0.091
O10 0.164 0.297 0.530
O11 0.164 0.486 0.428
O12 0.166 0.319 0.246
O13 0.166 0.817 0.591
O14 0.173 0.551 0.028
O15 0.183 0.025 0.809
O16 0.190 0.798 0.307
O17 0.204 0.827 0.913
O18 0.205 0.988 0.412
O19 0.211 0.963 0.694
O20 0.224 0.829 0.197
O21 0.296 0.555 0.530
O22 0.297 0.164 0.030
O23 0.319 0.166 0.746
O24 0.330 0.534 0.246
O25 0.359 0.524 0.641
O26 0.366 0.130 0.140
O27 0.368 0.499 0.924
O28 0.373 0.146 0.424
O29 0.467 0.854 0.473
O30 0.470 0.690 0.974
O31 0.485 0.706 0.260
O32 0.486 0.164 0.928
O33 0.488 0.822 0.758
O34 0.489 0.867 0.079
O35 0.495 0.651 0.579
O36 0.499 0.368 0.424
O37 0.499 0.629 0.864
O38 0.502 0.882 0.363
O39 0.520 0.142 0.642
O40 0.524 0.359 0.141
O41 0.534 0.330 0.746
O42 0.537 0.162 0.245
O43 0.551 0.173 0.528
O44 0.555 0.296 0.030
O45 0.623 0.893 0.862
O46 0.629 0.499 0.364
O47 0.651 0.495 0.079
O48 0.657 0.864 0.579
O49 0.690 0.470 0.474
O50 0.694 0.855 0.976
O51 0.697 0.834 0.258
O52 0.706 0.485 0.760
O53 0.798 0.190 0.807
O54 0.799 0.026 0.307
O55 0.817 0.166 0.091
O56 0.822 0.488 0.258
O57 0.827 0.204 0.413
O58 0.828 0.035 0.594
O59 0.829 0.224 0.697
O60 0.829 0.995 0.912
O61 0.831 0.960 0.197
O62 0.834 0.697 0.758
O63 0.854 0.467 0.973
O64 0.855 0.694 0.476
O65 0.864 0.657 0.079
O66 0.867 0.489 0.579
O67 0.882 0.502 0.863
O68 0.893 0.623 0.362
O69 0.960 0.831 0.697
O70 0.963 0.211 0.194
O71 0.988 0.205 0.912
O72 0.995 0.829 0.412



Question: Which value of density does entry 1 give?
Answer: 2.9 g cm⁻³



Question: Among the records above, which one has the highest VASP energy?
Answer: Na4Mg3GeP2S4O24



Question: Among the records above, which one has the highest VASP energy?
Answer: Na4Mg3GeP2S4O24



Question: Among the records above, which one has the lowest VASP energy?
Answer: Na6Mg3GeP4S2O24